Entry 1:
{"formula": "NaMgMnO2", "functional": "PBE with a Hubbard U", "state": "optimized geometry", "cell": [[4.3311, -0.9219, 5.7684], [1.4998, 1.7992, 5.5554], [-0.8395, -0.9219, 7.1644]], "species": ["Na", "Mn", "O", "O", "Mg"], "frac_coords": [[0.5000, 0.5000, 0.5000], [0.0000, 0.0000, 0.0000], [0.2497, 0.2923, 0.2497], [0.7503, 0.7077, 0.7503], [0.5000, 0.0000, 0.5000]], "ef_ev_per_atom": -1.2821, "magmom_total_mub_per_cell": 4.00}

Entry 2:
{"formula": "Sr2CuMoO6", "functional": "PBE with a Hubbard U", "state": "optimized geometry", "cell": [[5.1897, -1.7323, 1.8360], [-1.9762, -3.5347, 4.1115], [-1.6806, -0.2797, -5.5138]], "species": ["Mo", "Sr", "Sr", "O", "O", "O", "O", "O", "O", "Cu"], "frac_coords": [[0.0000, 0.0000, 0.0000], [0.7500, 0.2500, 0.5000], [0.2500, 0.7500, 0.5000], [0.7963, 0.2912, 0.0875], [0.2912, 0.2037, 0.4949], [0.2037, 0.7088, 0.9125], [0.7730, 0.7730, 0.0000], [0.2270, 0.2270, 0.0000], [0.7088, 0.7963, 0.5051], [0.5000, 0.5000, 0.0000]], "ef_ev_per_atom": -2.3626, "magmom_total_mub_per_cell": 1.00}

Entry 3:
{"formula": "Mn6O5F7", "functional": "PBE with a Hubbard U", "state": "optimized geometry", "cell": [[4.7039, -0.0666, 0.0228], [-0.0738, 5.7523, -0.0013], [0.0724, -0.0032, 15.6260]], "species": ["F", "F", "F", "F", "F", "F", "F", "F", "F", "F", "F", "F", "F", "F", "O", "O", "O", "O", "O", "O", "O", "O", "O", "O", "Mn", "Mn", "Mn", "Mn", "Mn", "Mn", "Mn", "Mn", "Mn", "Mn", "Mn", "Mn"], "frac_coords": [[0.7390, 0.6136, 0.8680], [0.2533, 0.6055, 0.6430], [0.7591, 0.1172, 0.8510], [0.2609, 0.3947, 0.8203], [0.2518, 0.8792, 0.1343], [0.7753, 0.8679, 0.0261], [0.7460, 0.8835, 0.3649], [0.2400, 0.6150, 0.3111], [0.7161, 0.3939, 0.3580], [0.2790, 0.6271, 0.9837], [0.7744, 0.1075, 0.1867], [0.7519, 0.6172, 0.5336], [0.7574, 0.8741, 0.6792], [0.7809, 0.1321, 0.5159], [0.2190, 0.1113, 0.6361], [0.2204, 0.1169, 0.3029], [0.2770, 0.3896, 0.1416], [0.2225, 0.1230, 0.9705], [0.7074, 0.3722, 0.6955], [0.2159, 0.8956, 0.8001], [0.7166, 0.6049, 0.1948], [0.2914, 0.3899, 0.4792], [0.7166, 0.3805, 0.0297], [0.2347, 0.8842, 0.4740], [0.9908, 0.8440, 0.2475], [0.0274, 0.8575, 0.5787], [0.4768, 0.6522, 0.4248], [0.0521, 0.1600, 0.4142], [0.4815, 0.3470, 0.2485], [0.4928, 0.6563, 0.7519], [0.0364, 0.8613, 0.9114], [0.0136, 0.1748, 0.0780], [0.9970, 0.1576, 0.7417], [0.5006, 0.3336, 0.5881], [0.5052, 0.3357, 0.9248], [0.5193, 0.6235, 0.0901]], "ef_ev_per_atom": -2.4059, "magmom_total_mub_per_cell": 50.00}

Entry 4:
{"formula": "V3As2H4O13", "functional": "PBE with a Hubbard U", "state": "optimized geometry", "cell": [[-0.8433, 2.6280, 4.4675], [-7.7439, -1.9313, 0.3863], [-1.2931, -9.7557, 7.9006]], "species": ["O", "O", "O", "O", "O", "O", "O", "O", "O", "O", "O", "O", "O", "O", "O", "O", "O", "O", "O", "O", "O", "O", "O", "O", "O", "O", "V", "V", "V", "V", "V", "V", "H", "H", "H", "H", "H", "H", "H", "H", "As", "As", "As", "As"], "frac_coords": [[0.8312, 0.0165, 0.3276], [0.3172, 0.1547, 0.9742], [0.1688, 0.9835, 0.6724], [0.6065, 0.7789, 0.6549], [0.3935, 0.2211, 0.3451], [0.2426, 0.5848, 0.3097], [0.2581, 0.9111, 0.1879], [0.2682, 0.8451, 0.4105], [0.6192, 0.1812, 0.1306], [0.1799, 0.3471, 0.5266], [0.2413, 0.2474, 0.7514], [0.7574, 0.4152, 0.6903], [0.7419, 0.0889, 0.8121], [0.1313, 0.6739, 0.6277], [0.6670, 0.4878, 0.1742], [0.2298, 0.6442, 0.0823], [0.9079, 0.7200, 0.8478], [0.3808, 0.8188, 0.8694], [0.7587, 0.7526, 0.2486], [0.7702, 0.3558, 0.9177], [0.8201, 0.6529, 0.4734], [0.0921, 0.2800, 0.1522], [0.7318, 0.1549, 0.5895], [0.6828, 0.8453, 0.0258], [0.3330, 0.5122, 0.8258], [0.8687, 0.3261, 0.3723], [0.0174, 0.2085, 0.6791], [0.7514, 0.2310, 0.2593], [0.2486, 0.7690, 0.7407], [0.9826, 0.7915, 0.3209], [0.5166, 0.6847, 0.1656], [0.4834, 0.3153, 0.8344], [0.7460, 0.2138, 0.5065], [0.7497, 0.2968, 0.0014], [0.2503, 0.7032, 0.9986], [0.1644, 0.5235, 0.1023], [0.3447, 0.9612, 0.3907], [0.8356, 0.4765, 0.8977], [0.2540, 0.7862, 0.4935], [0.6553, 0.0388, 0.6093], [0.1759, 0.3653, 0.3893], [0.6835, 0.8671, 0.8860], [0.3165, 0.1329, 0.1140], [0.8241, 0.6347, 0.6107]], "ef_ev_per_atom": -1.8878, "magmom_total_mub_per_cell": 6.00}

Entry 5:
{"formula": "Li4V3P8O29", "functional": "PBE with a Hubbard U", "state": "optimized geometry", "cell": [[5.9756, -4.0379, -6.5835], [9.4003, -1.5026, 2.1753], [-3.1094, -13.2345, 5.0466]], "species": ["Li", "Li", "Li", "Li", "Li", "Li", "Li", "Li", "O", "O", "O", "O", "O", "O", "O", "O", "O", "O", "O", "O", "O", "O", "O", "O", "O", "O", "O", "O", "O", "O", "O", "O", "O", "O", "O", "O", "O", "O", "O", "O", "O", "O", "O", "O", "O", "O", "O", "O", "O", "O", "O", "O", "O", "O", "O", "O", "O", "O", "O", "O", "O", "O", "O", "O", "O", "O", "P", "P", "P", "P", "P", "P", "P", "P", "P", "P", "P", "P", "P", "P", "P", "P", "V", "V", "V", "V", "V", "V"], "frac_coords": [[0.7734, 0.9055, 0.5572], [0.2301, 0.0936, 0.4350], [0.1301, 0.6413, 0.4690], [0.9055, 0.7734, 0.0572], [0.0636, 0.9771, 0.9993], [0.9771, 0.0636, 0.4993], [0.0936, 0.2301, 0.9350], [0.6413, 0.1301, 0.9690], [0.2904, 0.4097, 0.4614], [0.6623, 0.5241, 0.1770], [0.7717, 0.0045, 0.0816], [0.3497, 0.7334, 0.8308], [0.6221, 0.9052, 0.3303], [0.7985, 0.9980, 0.2568], [0.1914, 0.0050, 0.9017], [0.1887, 0.4697, 0.3015], [0.2538, 0.1024, 0.1867], [0.1974, 0.8030, 0.2477], [0.2034, 0.7760, 0.4216], [0.1883, 0.0497, 0.5596], [0.3932, 0.0668, 0.6588], [0.4697, 0.1887, 0.8015], [0.7892, 0.9754, 0.4329], [0.5416, 0.3762, 0.6701], [0.6854, 0.6749, 0.0356], [0.7334, 0.3497, 0.3308], [0.4543, 0.9239, 0.8208], [0.2588, 0.6587, 0.6701], [0.0948, 0.5282, 0.6836], [0.0668, 0.3932, 0.1588], [0.9134, 0.3334, 0.8444], [0.5121, 0.8165, 0.1804], [0.6587, 0.2588, 0.1701], [0.4097, 0.2904, 0.9614], [0.0045, 0.7717, 0.5816], [0.3762, 0.5416, 0.1701], [0.7311, 0.9229, 0.8353], [0.7945, 0.2026, 0.5730], [0.8165, 0.5121, 0.6804], [0.4783, 0.3341, 0.3193], [0.3341, 0.4783, 0.8193], [0.8030, 0.1974, 0.7477], [0.3334, 0.9134, 0.3444], [0.7760, 0.2034, 0.9216], [0.2026, 0.7945, 0.0730], [0.0497, 0.1883, 0.0596], [0.2185, 0.9687, 0.7272], [0.6669, 0.0756, 0.6616], [0.9239, 0.4543, 0.3208], [0.6183, 0.4575, 0.8238], [0.9687, 0.2185, 0.2272], [0.5282, 0.0948, 0.1836], [0.3373, 0.1824, 0.3540], [0.9980, 0.7985, 0.7568], [0.8082, 0.6771, 0.1842], [0.0050, 0.1914, 0.4017], [0.9229, 0.7311, 0.3353], [0.9754, 0.7892, 0.9329], [0.0756, 0.6669, 0.1616], [0.6749, 0.6854, 0.5356], [0.1824, 0.3373, 0.8540], [0.9052, 0.6221, 0.8303], [0.1024, 0.2538, 0.6867], [0.4575, 0.6183, 0.3238], [0.6771, 0.8082, 0.6842], [0.5241, 0.6623, 0.6770], [0.6861, 0.0877, 0.1688], [0.7799, 0.9037, 0.3446], [0.3284, 0.3446, 0.3657], [0.2260, 0.0874, 0.6520], [0.7003, 0.2178, 0.6569], [0.6767, 0.6608, 0.6367], [0.3446, 0.3284, 0.8657], [0.9037, 0.7799, 0.8446], [0.0874, 0.2260, 0.1520], [0.2178, 0.7003, 0.1569], [0.3033, 0.9088, 0.8265], [0.7749, 0.2994, 0.8409], [0.9088, 0.3033, 0.3265], [0.6608, 0.6767, 0.1367], [0.2994, 0.7749, 0.3409], [0.0877, 0.6861, 0.6688], [0.4341, 0.9983, 0.2599], [0.9984, 0.5631, 0.2455], [0.5599, 0.4400, 0.2464], [0.5631, 0.9984, 0.7455], [0.9983, 0.4341, 0.7599], [0.4400, 0.5599, 0.7464]], "ef_ev_per_atom": -2.5834, "magmom_total_mub_per_cell": 2.00}

Entry 6:
{"formula": "Li4TiCo3O8", "functional": "PBE with a Hubbard U", "state": "optimized geometry", "cell": [[5.1002, 0.0000, 0.0000], [0.0362, 5.5624, 0.0000], [0.0488, 0.0240, 6.4607]], "species": ["O", "O", "O", "O", "O", "O", "O", "O", "Co", "Co", "Co", "Li", "Li", "Li", "Li", "Ti"], "frac_coords": [[0.1372, 0.0716, 0.8876], [0.6323, 0.4206, 0.3723], [0.1072, 0.5935, 0.1316], [0.6314, 0.9259, 0.1084], [0.6070, 0.3937, 0.8705], [0.6076, 0.9241, 0.6411], [0.1186, 0.5741, 0.6115], [0.1088, 0.0944, 0.3595], [0.5033, 0.5815, 0.6219], [0.9900, 0.4263, 0.3826], [0.0112, 0.9112, 0.1392], [0.0036, 0.9160, 0.6212], [0.5069, 0.0871, 0.3746], [0.0023, 0.4211, 0.8758], [0.5048, 0.5784, 0.1254], [0.5014, 0.0805, 0.8766]], "ef_ev_per_atom": -2.0761, "magmom_total_mub_per_cell": 11.01}